{"formula": "LiMo2P3O11", "functional": "PBE with a Hubbard U", "state": "relaxed", "formation_enthalpy_0k_ev_per_atom": -2.47, "final_energy_ev_per_atom": -7.198, "total_magnetization_mub_per_fu": 6.00, "lattice": [[-2.095, -5.086, -5.006], [5.944, -4.328, -1.117], [-1.139, -8.008, 3.914]], "species": ["Li", "Li", "Mo", "Mo", "Mo", "Mo", "P", "P", "P", "P", "P", "P", "O", "O", "O", "O", "O", "O", "O", "O", "O", "O", "O", "O", "O", "O", "O", "O", "O", "O", "O", "O", "O", "O"], "frac_coords": [[0.991, 0.513, 0.264], [0.487, 0.009, 0.736], [0.361, 0.882, 0.202], [0.881, 0.363, 0.703], [0.118, 0.639, 0.798], [0.637, 0.119, 0.297], [0.321, 0.451, 0.468], [0.955, 0.045, 0.500], [0.451, 0.323, 0.966], [0.549, 0.679, 0.532], [0.677, 0.549, 0.034], [0.044, 0.956, 0.000], [0.110, 0.014, 0.342], [0.014, 0.112, 0.842], [0.382, 0.241, 0.463], [0.150, 0.472, 0.625], [0.888, 0.986, 0.158], [0.986, 0.890, 0.658], [0.618, 0.757, 0.043], [0.849, 0.529, 0.877], [0.722, 0.399, 0.190], [0.256, 0.956, 0.000], [0.759, 0.618, 0.537], [0.500, 0.500, 0.000], [0.528, 0.850, 0.375], [0.402, 0.726, 0.689], [0.955, 0.257, 0.500], [0.044, 0.744, 0.000], [0.601, 0.278, 0.810], [0.471, 0.151, 0.123], [0.499, 0.501, 0.500], [0.243, 0.382, 0.957], [0.743, 0.045, 0.500], [0.274, 0.598, 0.311]]}



{"formula": "LiFeP4O12", "functional": "PBE with a Hubbard U", "state": "relaxed", "polymorph_energy_ev_per_fu": 1.213, "formation_enthalpy_0k_ev_per_atom": -2.48, "final_energy_ev_per_atom": -6.978, "total_magnetization_mub_per_fu": 5.00, "lattice": [[9.029, 0.000, 0.000], [0.000, 7.167, 0.000], [0.000, 6.760, 14.154]], "species": ["Li", "Li", "Li", "Li", "Fe", "Fe", "Fe", "Fe", "P", "P", "P", "P", "P", "P", "P", "P", "P", "P", "P", "P", "P", "P", "P", "P", "O", "O", "O", "O", "O", "O", "O", "O", "O", "O", "O", "O", "O", "O", "O", "O", "O", "O", "O", "O", "O", "O", "O", "O", "O", "O", "O", "O", "O", "O", "O", "O", "O", "O", "O", "O", "O", "O", "O", "O", "O", "O", "O", "O", "O", "O", "O", "O"], "frac_coords": [[0.476, 0.412, 0.118], [0.976, 0.588, 0.382], [0.024, 0.412, 0.618], [0.524, 0.588, 0.882], [0.242, 0.850, 0.159], [0.742, 0.150, 0.341], [0.258, 0.850, 0.659], [0.758, 0.150, 0.841], [0.743, 0.211, 0.040], [0.672, 0.804, 0.058], [0.921, 0.573, 0.182], [0.990, 0.182, 0.177], [0.421, 0.427, 0.318], [0.490, 0.818, 0.323], [0.172, 0.196, 0.442], [0.243, 0.789, 0.460], [0.757, 0.211, 0.540], [0.828, 0.804, 0.558], [0.510, 0.182, 0.677], [0.579, 0.573, 0.682], [0.010, 0.818, 0.823], [0.079, 0.427, 0.818], [0.328, 0.196, 0.942], [0.257, 0.789, 0.960], [0.337, 0.096, 0.049], [0.225, 0.744, 0.061], [0.644, 0.355, 0.059], [0.835, 0.698, 0.083], [0.906, 0.201, 0.084], [0.684, 0.979, 0.097], [0.550, 0.664, 0.111], [0.021, 0.420, 0.155], [0.137, 0.085, 0.178], [0.022, 0.720, 0.200], [0.311, 0.546, 0.242], [0.394, 0.915, 0.236], [0.811, 0.454, 0.258], [0.894, 0.085, 0.264], [0.522, 0.280, 0.300], [0.521, 0.580, 0.345], [0.637, 0.915, 0.322], [0.050, 0.336, 0.389], [0.184, 0.021, 0.403], [0.335, 0.302, 0.417], [0.406, 0.799, 0.416], [0.144, 0.645, 0.441], [0.725, 0.256, 0.439], [0.837, 0.904, 0.451], [0.163, 0.096, 0.549], [0.275, 0.744, 0.561], [0.856, 0.355, 0.559], [0.594, 0.201, 0.584], [0.665, 0.698, 0.583], [0.816, 0.979, 0.597], [0.950, 0.664, 0.611], [0.363, 0.085, 0.678], [0.479, 0.420, 0.655], [0.478, 0.720, 0.700], [0.106, 0.915, 0.736], [0.189, 0.546, 0.742], [0.606, 0.085, 0.764], [0.689, 0.454, 0.758], [0.978, 0.280, 0.800], [0.863, 0.915, 0.822], [0.979, 0.580, 0.845], [0.450, 0.336, 0.889], [0.316, 0.021, 0.903], [0.094, 0.799, 0.916], [0.165, 0.302, 0.917], [0.356, 0.645, 0.941], [0.775, 0.256, 0.939], [0.663, 0.904, 0.951]]}



{"formula": "Mn5SnO8", "functional": "PBE with a Hubbard U", "state": "relaxed", "polymorph_energy_ev_per_fu": 0.030, "formation_enthalpy_0k_ev_per_atom": -1.98, "final_energy_ev_per_atom": -7.381, "total_magnetization_mub_per_fu": 0.00, "lattice": [[4.287, -0.594, 4.389], [-2.255, -9.038, 5.207], [5.550, -2.548, -1.530]], "species": ["Mn", "Mn", "Mn", "Mn", "Mn", "Mn", "Mn", "Mn", "Mn", "Mn", "Sn", "Sn", "O", "O", "O", "O", "O", "O", "O", "O", "O", "O", "O", "O", "O", "O", "O", "O"], "frac_coords": [[0.242, 0.626, 0.870], [0.624, 0.811, 0.428], [0.141, 0.809, 0.418], [0.624, 0.813, 0.942], [0.622, 0.311, 0.451], [0.235, 0.124, 0.385], [0.615, 0.313, 0.942], [0.134, 0.311, 0.937], [0.624, 0.569, 0.189], [0.620, 0.067, 0.696], [0.015, 0.001, 0.997], [0.015, 0.500, 0.502], [0.398, 0.432, 0.298], [0.412, 0.933, 0.800], [0.866, 0.440, 0.321], [0.845, 0.942, 0.823], [0.887, 0.198, 0.062], [0.893, 0.700, 0.547], [0.890, 0.428, 0.829], [0.890, 0.929, 0.323], [0.401, 0.699, 0.043], [0.395, 0.175, 0.579], [0.842, 0.705, 0.061], [0.837, 0.181, 0.598], [0.355, 0.194, 0.048], [0.358, 0.698, 0.535], [0.358, 0.422, 0.816], [0.362, 0.922, 0.310]]}